An optimized crystal structure of Cu2WO4, computed with PBE+U.

Calculated values
final energy: -0.461 Ry/atom
energy relative to the elements: -10.14 eV/f.u.

Unit cell a=5.934 b=8.114 c=8.297 alpha=109.78 beta=95.24 gamma=92.21
Element x y z (fractional)
W: 0.487 0.073 0.322
W: 0.651 0.355 0.725
W: 0.349 0.645 0.275
W: 0.513 0.927 0.678
Cu: 0.224 0.709 0.903
Cu: 0.856 0.762 0.163
Cu: 0.000 0.000 0.000
Cu: 0.144 0.238 0.837
Cu: 0.776 0.291 0.097
Cu: 0.000 0.000 0.500
Cu: 0.873 0.641 0.448
Cu: 0.127 0.359 0.552
O: 0.711 0.177 0.249
O: 0.289 0.823 0.751
O: 0.859 0.451 0.624
O: 0.760 0.933 0.827
O: 0.417 0.286 0.509
O: 0.507 0.539 0.840
O: 0.493 0.461 0.160
O: 0.706 0.076 0.550
O: 0.583 0.714 0.491
O: 0.141 0.549 0.376
O: 0.564 0.829 0.213
O: 0.240 0.067 0.173
O: 0.132 0.669 0.100
O: 0.868 0.331 0.900
O: 0.436 0.171 0.787
O: 0.294 0.924 0.450